Model w:
Entry from the Materials Project: a relaxed Li9Mn2Co5O16 crystal (PBE with a Hubbard U).

Output
Density = 4.25 g/cm3
SG = P1 (1)

a = 5.916 Å, b = 6.450 Å, c = 7.887 Å
α = 88.81°, β = 76.18°, γ = 75.18°
Sites, in units of the cell vectors:
Li  0.000  0.000  0.000
Li  0.005  0.501  0.494
Li  0.130  0.376  0.123
Li  0.249  0.251  0.754
Li  0.377  0.128  0.365
Li  0.506  0.001  0.005
Li  0.629  0.875  0.623
Li  0.756  0.758  0.235
Li  0.878  0.632  0.879
Mn  0.133  0.876  0.624
Mn  0.755  0.254  0.753
Co  0.251  0.752  0.242
Co  0.372  0.629  0.875
Co  0.507  0.505  0.496
Co  0.627  0.375  0.122
Co  0.878  0.126  0.364
O  0.061  0.180  0.577
O  0.087  0.683  0.049
O  0.180  0.053  0.200
O  0.199  0.576  0.667
O  0.301  0.918  0.795
O  0.331  0.454  0.302
O  0.433  0.805  0.445
O  0.450  0.319  0.920
O  0.554  0.678  0.069
O  0.596  0.208  0.561
O  0.675  0.554  0.697
O  0.688  0.086  0.188
O  0.806  0.430  0.322
O  0.823  0.951  0.791
O  0.906  0.313  0.928
O  0.965  0.830  0.436


Model x:
Entry from the Materials Project: a relaxed Li9Mn2Co5O16 crystal (PBE with a Hubbard U).

Output
Density = 4.15 g/cm3
SG = P1 (1)

a = 2.997 Å, b = 5.007 Å, c = 19.324 Å
α = 92.99°, β = 91.58°, γ = 92.10°
Sites, in units of the cell vectors:
Li  0.000  0.000  0.000
Li  0.000  0.491  0.510
Li  0.487  0.006  0.508
Li  0.496  0.504  0.998
Li  0.498  0.377  0.627
Li  0.501  0.248  0.253
Li  0.507  0.752  0.746
Li  0.992  0.757  0.250
Li  0.993  0.261  0.747
Mn  0.495  0.627  0.377
Mn  0.998  0.378  0.126
Co  0.498  0.128  0.875
Co  0.499  0.877  0.126
Co  0.994  0.128  0.378
Co  0.998  0.628  0.874
Co  0.998  0.878  0.626
O  0.001  0.154  0.571
O  0.003  0.322  0.933
O  0.024  0.430  0.319
O  0.032  0.689  0.069
O  0.463  0.577  0.185
O  0.464  0.316  0.435
O  0.484  0.709  0.572
O  0.490  0.436  0.816
O  0.506  0.819  0.933
O  0.513  0.046  0.680
O  0.530  0.939  0.320
O  0.532  0.180  0.068
O  0.963  0.067  0.184
O  0.970  0.820  0.434
O  0.991  0.939  0.819
O  0.994  0.603  0.682


What should be chosen as the most stable of them? Choose model w.


Model w:
Entry from the Materials Project: a relaxed Li9Mn2Co5O16 crystal (PBE with a Hubbard U).

Output
Density = 4.15 g/cm3
SG = P1 (1)

a = 2.951 Å, b = 5.088 Å, c = 19.913 Å
α = 92.27°, β = 92.62°, γ = 104.26°
Sites, in units of the cell vectors:
Li  0.000  0.000  0.000
Li  0.051  0.293  0.816
Li  0.171  0.926  0.438
Li  0.265  0.538  0.057
Li  0.422  0.175  0.688
Li  0.546  0.794  0.314
Li  0.678  0.412  0.940
Li  0.799  0.044  0.565
Li  0.934  0.682  0.188
Mn  0.476  0.483  0.503
Mn  0.609  0.116  0.120
Co  0.120  0.613  0.627
Co  0.227  0.232  0.250
Co  0.363  0.857  0.882
Co  0.744  0.735  0.753
Co  0.854  0.354  0.376
O  0.032  0.113  0.904
O  0.095  0.476  0.716
O  0.158  0.751  0.537
O  0.209  0.097  0.345
O  0.227  0.361  0.154
O  0.324  0.709  0.959
O  0.385  0.990  0.787
O  0.435  0.348  0.594
O  0.503  0.617  0.410
O  0.572  0.976  0.217
O  0.644  0.265  0.038
O  0.683  0.600  0.843
O  0.795  0.216  0.470
O  0.799  0.873  0.659
O  0.887  0.495  0.282
O  0.995  0.870  0.098


Model x:
Entry from the Materials Project: a relaxed Li9Mn2Co5O16 crystal (PBE with a Hubbard U).

Output
Density = 4.10 g/cm3
SG = Cm (8)

a = 6.802 Å, b = 6.802 Å, c = 15.279 Å
α = 93.62°, β = 93.62°, γ = 24.51°
Sites, in units of the cell vectors:
Li  0.000  0.000  0.000
Li  0.125  0.125  0.370
Li  0.247  0.247  0.745
Li  0.373  0.373  0.125
Li  0.501  0.501  0.493
Li  0.623  0.623  0.874
Li  0.745  0.745  0.249
Li  0.807  0.807  0.435
Li  0.867  0.867  0.620
Mn  0.307  0.307  0.936
Mn  0.939  0.939  0.807
Co  0.060  0.060  0.191
Co  0.198  0.198  0.554
Co  0.419  0.419  0.317
Co  0.565  0.565  0.679
Co  0.678  0.678  0.062
O  0.040  0.040  0.598
O  0.091  0.091  0.764
O  0.152  0.152  0.973
O  0.212  0.212  0.147
O  0.288  0.288  0.339
O  0.328  0.328  0.532
O  0.409  0.409  0.722
O  0.467  0.467  0.892
O  0.533  0.533  0.097
O  0.593  0.593  0.273
O  0.653  0.653  0.475
O  0.711  0.711  0.645
O  0.781  0.781  0.850
O  0.837  0.837  0.022
O  0.913  0.913  0.227
O  0.965  0.965  0.394


What should be chosen as the most stable of them? Choose model w.